Entry 1:
# GGA+U LiFe2P3O12, optimized geometry
data_LiFe2P3O12
_symmetry_space_group_name_H-M 'C 1 2/c 1'
_symmetry_Int_Tables_number 15
_symmetry_space_group_name_Hall '-C 2yc'
_cell_length_a 11.725
_cell_length_b 12.874
_cell_length_c 6.410
_cell_angle_alpha 90.00
_cell_angle_beta 112.89
_cell_angle_gamma 90.00
loop_
_atom_site_label
_atom_site_type_symbol
_atom_site_fract_x
_atom_site_fract_y
_atom_site_fract_z
Li1 Li 0.000 0.215 0.250
Fe1 Fe 0.210 0.351 0.120
P1 P 0.000 0.210 0.750
P2 P 0.235 0.396 0.620
O1 O 0.048 0.277 0.969
O2 O 0.106 0.142 0.736
O3 O 0.126 0.098 0.336
O4 O 0.171 0.336 0.395
O5 O 0.173 0.497 0.104
O6 O 0.225 0.331 0.819
# * energy with MP2020 corrections: -7.4539 eV per atom
# * volume: 12.4 Å³/atom
# * energy relative to the elements: -2.21 eV per atom

Entry 2:
# GGA+U LiFeP2O7, optimized geometry
data_LiFeP2O7
_symmetry_space_group_name_H-M 'P 1 21/c 1'
_symmetry_Int_Tables_number 14
_symmetry_space_group_name_Hall '-P 2ybc'
_cell_length_a 7.511
_cell_length_b 6.196
_cell_length_c 12.579
_cell_angle_alpha 90.00
_cell_angle_beta 117.21
_cell_angle_gamma 90.00
loop_
_atom_site_label
_atom_site_type_symbol
_atom_site_fract_x
_atom_site_fract_y
_atom_site_fract_z
Li1 Li 0.175 0.116 0.047
Fe1 Fe 0.293 0.123 0.768
P1 P 0.189 0.612 0.784
P2 P 0.277 0.649 0.040
O1 O 0.038 0.141 0.779
O2 O 0.098 0.710 0.511
O3 O 0.254 0.066 0.224
O4 O 0.258 0.533 0.919
O5 O 0.294 0.060 0.613
O6 O 0.309 0.683 0.296
O7 O 0.466 0.707 0.591
# * energy with MP2020 corrections: -7.5447 eV per atom
# * volume: 11.8 Å³/atom
# * energy relative to the elements: -2.47 eV per atom

Entry 3:
# GGA+U LiFe2P2O8, optimized geometry
data_LiFe2P2O8
_symmetry_space_group_name_H-M 'A m m 2'
_symmetry_Int_Tables_number 38
_symmetry_space_group_name_Hall 'A 2 -2'
_cell_length_a 6.264
_cell_length_b 5.503
_cell_length_c 8.126
_cell_angle_alpha 90.00
_cell_angle_beta 90.00
_cell_angle_gamma 90.00
loop_
_atom_site_label
_atom_site_type_symbol
_atom_site_fract_x
_atom_site_fract_y
_atom_site_fract_z
Li1 Li 0.000 0.000 0.000
Fe1 Fe 0.272 0.000 0.334
P1 P 0.000 0.000 0.676
P2 P 0.500 0.000 0.982
O1 O 0.000 0.229 0.793
O2 O 0.199 0.000 0.570
O3 O 0.297 0.000 0.088
O4 O 0.500 0.232 0.870
# * energy with MP2020 corrections: -7.6940 eV per atom
# * volume: 10.8 Å³/atom
# * energy relative to the elements: -2.37 eV per atom

Entry 4:
# GGA+U Li2FeP2O7, optimized geometry
data_Li2FeP2O7
_symmetry_space_group_name_H-M 'P -1'
_symmetry_Int_Tables_number 2
_symmetry_space_group_name_Hall '-P 1'
_cell_length_a 7.083
_cell_length_b 8.926
_cell_length_c 10.185
_cell_angle_alpha 65.05
_cell_angle_beta 70.16
_cell_angle_gamma 78.10
loop_
_atom_site_label
_atom_site_type_symbol
_atom_site_fract_x
_atom_site_fract_y
_atom_site_fract_z
Li1 Li 0.030 0.015 0.291
Li2 Li 0.135 0.242 0.974
Li3 Li 0.365 0.758 0.526
Li4 Li 0.470 0.985 0.209
Fe1 Fe 0.159 0.338 0.654
Fe2 Fe 0.341 0.662 0.845
P1 P 0.086 0.392 0.173
P2 P 0.220 0.857 0.079
P3 P 0.280 0.143 0.420
P4 P 0.414 0.609 0.327
O1 O 0.007 0.157 0.868
O2 O 0.036 0.742 0.815
O3 O 0.048 0.461 0.803
O4 O 0.175 0.151 0.577
O5 O 0.188 0.312 0.309
O6 O 0.229 0.995 0.403
O7 O 0.241 0.566 0.474
O8 O 0.258 0.435 0.026
O9 O 0.271 0.005 0.097
O10 O 0.314 0.688 0.190
O11 O 0.325 0.850 0.923
O12 O 0.452 0.540 0.696
O13 O 0.463 0.258 0.685
O14 O 0.492 0.844 0.632
# * energy with MP2020 corrections: -7.3405 eV per atom
# * volume: 11.4 Å³/atom
# * energy relative to the elements: -2.53 eV per atom

Question: The highest energy with MP2020 corrections belongs to which entry?
Answer: Li2FeP2O7